1.
The following is a PBE with a Hubbard U calculation of a geometry-optimized LiMnF4 structure, from the Materials Project database.

Properties
magnetic moment = 0.667 μB/atom
calculated total energy = -0.20016 Ha/atom
energy of formation = -280.9 kJ/mol of atoms
V = 279 Å³ per cell

The structure in POSCAR format:
```
LiMnF4
1.0
10.184 0.000 0.000
0.000 5.898 0.000
0.000 0.000 4.639
Li Mn F
4 4 16
direct
0.000 0.000 0.000
0.000 0.500 0.000
0.500 0.000 0.500
0.500 0.500 0.500
0.240 0.250 0.466
0.260 0.750 0.966
0.740 0.250 0.034
0.760 0.750 0.534
0.090 0.250 0.244
0.102 0.750 0.170
0.170 0.002 0.732
0.170 0.498 0.732
0.330 0.502 0.232
0.330 0.998 0.232
0.398 0.250 0.670
0.410 0.750 0.744
0.590 0.250 0.256
0.602 0.750 0.330
0.670 0.002 0.768
0.670 0.498 0.768
0.830 0.502 0.268
0.830 0.998 0.268
0.898 0.250 0.830
0.910 0.750 0.756
```

---

2.
The following is a PBE with a Hubbard U calculation of a geometry-optimized Li2Fe2Si3O9 structure, from the Materials Project database.

Properties
magnetic moment = 0.500 μB/atom
calculated total energy = -0.25994 Ha/atom
distance to the lowest polymorph of the same formula = 0.0076 eV per atom
energy of formation = -255.1 kJ/mol of atoms
V = 849 Å³ per cell

The structure in POSCAR format:
```
Li2Fe2Si3O9
1.0
10.495 0.000 0.000
0.000 7.197 0.000
-4.110 0.000 11.242
Li Fe Si O
8 8 12 36
direct
0.051 0.066 0.120
0.051 0.434 0.620
0.421 0.580 0.691
0.421 0.920 0.191
0.579 0.080 0.809
0.579 0.420 0.309
0.949 0.566 0.380
0.949 0.934 0.880
0.055 0.110 0.418
0.055 0.390 0.918
0.429 0.162 0.552
0.429 0.338 0.052
0.571 0.662 0.948
0.571 0.838 0.448
0.945 0.610 0.082
0.945 0.890 0.582
0.224 0.029 0.945
0.224 0.471 0.445
0.238 0.647 0.850
0.238 0.853 0.350
0.263 0.516 0.207
0.263 0.984 0.707
0.737 0.016 0.293
0.737 0.484 0.793
0.762 0.147 0.650
0.762 0.353 0.150
0.776 0.529 0.555
0.776 0.971 0.055
0.091 0.122 0.964
0.091 0.378 0.464
0.117 0.001 0.291
0.117 0.499 0.791
0.126 0.013 0.592
0.126 0.487 0.092
0.183 0.694 0.424
0.183 0.806 0.924
0.243 0.097 0.820
0.243 0.403 0.320
0.278 0.744 0.242
0.278 0.756 0.742
0.363 0.075 0.055
0.363 0.425 0.555
0.380 0.561 0.937
0.380 0.939 0.437
0.405 0.049 0.695
0.405 0.451 0.195
0.595 0.549 0.805
0.595 0.951 0.305
0.620 0.061 0.563
0.620 0.439 0.063
0.637 0.575 0.445
0.637 0.925 0.945
0.722 0.244 0.258
0.722 0.256 0.758
0.757 0.597 0.680
0.757 0.903 0.180
0.817 0.194 0.076
0.817 0.306 0.576
0.874 0.513 0.908
0.874 0.987 0.408
0.883 0.501 0.209
0.883 0.999 0.709
0.909 0.622 0.536
0.909 0.878 0.036
```

---

Copy entry 2 word for word.
The following is a PBE with a Hubbard U calculation of a geometry-optimized Li2Fe2Si3O9 structure, from the Materials Project database.

Properties
magnetic moment = 0.500 μB/atom
calculated total energy = -0.25994 Ha/atom
distance to the lowest polymorph of the same formula = 0.0076 eV per atom
energy of formation = -255.1 kJ/mol of atoms
V = 849 Å³ per cell

The structure in POSCAR format:
```
Li2Fe2Si3O9
1.0
10.495 0.000 0.000
0.000 7.197 0.000
-4.110 0.000 11.242
Li Fe Si O
8 8 12 36
direct
0.051 0.066 0.120
0.051 0.434 0.620
0.421 0.580 0.691
0.421 0.920 0.191
0.579 0.080 0.809
0.579 0.420 0.309
0.949 0.566 0.380
0.949 0.934 0.880
0.055 0.110 0.418
0.055 0.390 0.918
0.429 0.162 0.552
0.429 0.338 0.052
0.571 0.662 0.948
0.571 0.838 0.448
0.945 0.610 0.082
0.945 0.890 0.582
0.224 0.029 0.945
0.224 0.471 0.445
0.238 0.647 0.850
0.238 0.853 0.350
0.263 0.516 0.207
0.263 0.984 0.707
0.737 0.016 0.293
0.737 0.484 0.793
0.762 0.147 0.650
0.762 0.353 0.150
0.776 0.529 0.555
0.776 0.971 0.055
0.091 0.122 0.964
0.091 0.378 0.464
0.117 0.001 0.291
0.117 0.499 0.791
0.126 0.013 0.592
0.126 0.487 0.092
0.183 0.694 0.424
0.183 0.806 0.924
0.243 0.097 0.820
0.243 0.403 0.320
0.278 0.744 0.242
0.278 0.756 0.742
0.363 0.075 0.055
0.363 0.425 0.555
0.380 0.561 0.937
0.380 0.939 0.437
0.405 0.049 0.695
0.405 0.451 0.195
0.595 0.549 0.805
0.595 0.951 0.305
0.620 0.061 0.563
0.620 0.439 0.063
0.637 0.575 0.445
0.637 0.925 0.945
0.722 0.244 0.258
0.722 0.256 0.758
0.757 0.597 0.680
0.757 0.903 0.180
0.817 0.194 0.076
0.817 0.306 0.576
0.874 0.513 0.908
0.874 0.987 0.408
0.883 0.501 0.209
0.883 0.999 0.709
0.909 0.622 0.536
0.909 0.878 0.036
```

---

Q: The lowest magnetic moment belongs to which entry?
A: Li2Fe2Si3O9

---

Q: Among the records above, which one has the highest magnetic moment?
A: LiMnF4

---

Q: Which formula does entry 1 have?
A: LiMnF4